No. 1
This record from Materials Project describes crystalline HoCuGe at its relaxed geometry. The functional is PBE.

Lattice parameters (Å, degrees): 4.2589 4.2589 7.1622 90.00 90.00 120.00
Closest atoms and distances in Å follow each position.
Space group P6_3mc (No. 186)
Unique sites:
Ho  0.0000  0.0000  0.0000 [2 per cell]  6 Cu 2.90-3.20, 6 Ge 2.94-3.16
Cu  0.3333  0.6667  0.2145 [2 per cell]  3 Ge 2.50
Ge  0.3333  0.6667  0.7762 [2 per cell]  3 Cu 2.50

Values from the calculation:
ΔH_f (0 K), meV per atom: -686
Mass density, g cm⁻³: 8.889
Total energy, eV/atom: -5.121

***

No. 2
This record from Materials Project describes crystalline HoCu2Ge2 at its relaxed geometry. The functional is PBE.

Lattice parameters (Å, degrees): 4.0356 4.0356 10.3571 90.00 90.00 90.00
Closest atoms and distances in Å follow each position.
Space group I4/mmm (No. 139)
Unique sites:
Ho  0.0000  0.0000  0.0000 [2 per cell]  8 Ge 3.11, 8 Cu 3.28
Cu  0.0000  0.5000  0.2500 [4 per cell]  4 Ge 2.43
Ge  0.0000  0.0000  0.3814 [4 per cell]  4 Cu 2.43, 1 Ge 2.46

Values from the calculation:
ΔH_f (0 K), meV per atom: -487
Mass density, g cm⁻³: 8.610
Total energy, eV/atom: -4.893

***

- What is the formula in the first record?
  HoCuGe